(1)
Compound: U3As2O19
Source: the Materials Project database
Functional: PBE-GGA
Structure: relaxed

a = 20.7753 Å, b = 12.0240 Å, c = 7.3192 Å
α = 90.00°, β = 90.00°, γ = 90.00°
With the nearest neighbours (Å) after each atom.
Fractional coordinates of all 96 atoms:
U1 0.0790 0.1600 0.9998  2 O 1.79-1.80
U2 0.1047 0.6638 0.0163  3 O 1.82-1.87
U3 0.1487 0.2705 0.5000  2 O 1.79-1.80
U4 0.3513 0.2705 0.0000  2 O 1.79-1.80
U5 0.3953 0.6638 0.5163  3 O 1.82-1.87
U6 0.4210 0.1600 0.4998  2 O 1.79-1.80
U7 0.5790 0.8400 0.9998  2 O 1.79-1.80
U8 0.6047 0.3362 0.0163  3 O 1.82-1.87
U9 0.6487 0.7295 0.5000  2 O 1.79-1.80
U10 0.8513 0.7295 0.0000  2 O 1.79-1.80
U11 0.8953 0.3362 0.5163  3 O 1.82-1.87
U12 0.9210 0.8400 0.4998  2 O 1.79-1.80
As1 0.0192 0.1039 0.4938  4 O 1.70-1.73
As2 0.1851 0.3697 0.0070  4 O 1.71-1.73
As3 0.3149 0.3697 0.5070  4 O 1.71-1.73
As4 0.4808 0.1039 0.9938  4 O 1.70-1.73
As5 0.5192 0.8961 0.4938  4 O 1.70-1.73
As6 0.6851 0.6303 0.0070  4 O 1.71-1.73
As7 0.8149 0.6303 0.5070  4 O 1.71-1.73
As8 0.9808 0.8961 0.9938  4 O 1.70-1.73
O1 0.0047 0.9646 0.5081  1 As 1.70
O2 0.0228 0.2717 0.0250  1 U 1.79
O3 0.0443 0.6342 0.1897  1 U 1.82
O4 0.0524 0.8263 0.9710  1 As 1.72
O5 0.0630 0.1568 0.6753  1 As 1.73
O6 0.0652 0.6110 0.8028  1 U 1.87
O7 0.0744 0.1366 0.3251  1 As 1.73
O8 0.0918 0.3816 0.4786  1 U 1.79
O9 0.1377 0.0513 0.9775  1 U 1.80
O10 0.1509 0.4972 0.0455  1 As 1.71
O11 0.1522 0.2981 0.8248  1 As 1.73
O12 0.1535 0.7791 0.3411  1 O 1.24
O13 0.1611 0.2781 0.1760  1 As 1.73
O14 0.1759 0.6858 0.3734  1 O 1.24
O15 0.1762 0.8896 0.6520  1 O 1.21
O16 0.1823 0.7207 0.9415  1 U 1.84
O17 0.2048 0.1576 0.5202  1 U 1.80
O18 0.2285 0.9208 0.7051  1 O 1.21
O19 0.2338 0.3904 0.4916  1 As 1.71
O20 0.2662 0.3904 0.9916  1 As 1.71
O21 0.2715 0.9208 0.2051  1 O 1.21
O22 0.2952 0.1576 0.0202  1 U 1.80
O23 0.3177 0.7207 0.4415  1 U 1.84
O24 0.3241 0.6858 0.8734  1 O 1.24
O25 0.3238 0.8896 0.1520  1 O 1.21
O26 0.3389 0.2781 0.6760  1 As 1.73
O27 0.3465 0.7791 0.8411  1 O 1.24
O28 0.3478 0.2981 0.3248  1 As 1.73
O29 0.3491 0.4972 0.5455  1 As 1.71
O30 0.3623 0.0513 0.4775  1 U 1.80
O31 0.4082 0.3816 0.9786  1 U 1.79
O32 0.4256 0.1366 0.8251  1 As 1.73
O33 0.4348 0.6110 0.3028  1 U 1.87
O34 0.4370 0.1568 0.1753  1 As 1.73
O35 0.4476 0.8263 0.4710  1 As 1.72
O36 0.4557 0.6342 0.6897  1 U 1.82
O37 0.4772 0.2717 0.5250  1 U 1.79
O38 0.4953 0.9646 0.0081  1 As 1.70
O39 0.5047 0.0354 0.5081  1 As 1.70
O40 0.5228 0.7283 0.0250  1 U 1.79
O41 0.5443 0.3658 0.1897  1 U 1.82
O42 0.5524 0.1737 0.9710  1 As 1.72
O43 0.5630 0.8432 0.6753  1 As 1.73
O44 0.5652 0.3890 0.8028  1 U 1.87
O45 0.5744 0.8634 0.3251  1 As 1.73
O46 0.5918 0.6184 0.4786  1 U 1.79
O47 0.6377 0.9487 0.9775  1 U 1.80
O48 0.6509 0.5028 0.0455  1 As 1.71
O49 0.6522 0.7019 0.8248  1 As 1.73
O50 0.6535 0.2209 0.3411  1 O 1.24
O51 0.6611 0.7219 0.1760  1 As 1.73
O52 0.6762 0.1104 0.6520  1 O 1.21
O53 0.6759 0.3142 0.3734  1 O 1.24
O54 0.6823 0.2793 0.9415  1 U 1.84
O55 0.7048 0.8424 0.5202  1 U 1.80
O56 0.7285 0.0792 0.7051  1 O 1.21
O57 0.7338 0.6096 0.4916  1 As 1.71
O58 0.7662 0.6096 0.9916  1 As 1.71
O59 0.7715 0.0792 0.2051  1 O 1.21
O60 0.7952 0.8424 0.0202  1 U 1.80
O61 0.8177 0.2793 0.4415  1 U 1.84
O62 0.8238 0.1104 0.1520  1 O 1.21
O63 0.8241 0.3142 0.8734  1 O 1.24
O64 0.8389 0.7219 0.6760  1 As 1.73
O65 0.8465 0.2209 0.8411  1 O 1.24
O66 0.8478 0.7019 0.3248  1 As 1.73
O67 0.8491 0.5028 0.5455  1 As 1.71
O68 0.8623 0.9487 0.4775  1 U 1.80
O69 0.9082 0.6184 0.9786  1 U 1.79
O70 0.9256 0.8634 0.8251  1 As 1.73
O71 0.9348 0.3890 0.3028  1 U 1.87
O72 0.9370 0.8432 0.1753  1 As 1.73
O73 0.9476 0.1737 0.4710  1 As 1.72
O74 0.9557 0.3658 0.6897  1 U 1.82
O75 0.9772 0.7283 0.5250  1 U 1.79
O76 0.9953 0.0354 0.0081  1 As 1.70

Mass density   4.24 Mg/m³
Calculated formation energy   -1.854 eV/atom
Symmetry   Pca2_1

(2)
Compound: CeMgAg
Source: the Materials Project database
Functional: PBE-GGA
Structure: relaxed

a = 7.8858 Å, b = 7.8858 Å, c = 4.3634 Å
α = 90.00°, β = 90.00°, γ = 120.00°
With the nearest neighbours (Å) after each atom.
Fractional coordinates of all 9 atoms:
Ce1 0.0000 0.4160 0.0000  5 Ag 3.22-3.28, 6 Mg 3.48-3.59
Ce2 0.4160 0.0000 0.0000  5 Ag 3.22-3.28, 6 Mg 3.48-3.59
Ce3 0.5840 0.5840 0.0000  5 Ag 3.22-3.28, 6 Mg 3.48-3.59
Mg1 0.0000 0.7601 0.5000  4 Ag 2.89-3.06
Mg2 0.2399 0.2399 0.5000  4 Ag 2.89-3.06
Mg3 0.7601 0.0000 0.5000  4 Ag 2.89-3.06
Ag1 0.0000 0.0000 0.0000  6 Mg 2.89
Ag2 0.3333 0.6667 0.5000  3 Mg 3.06, 6 Ce 3.22
Ag3 0.6667 0.3333 0.5000  3 Mg 3.06, 6 Ce 3.22

Mass density   5.77 Mg/m³
Calculated formation energy   -0.132 eV/atom
Symmetry   P-62m

(3)
Compound: Ba3Sb2Se7
Source: the Materials Project database
Functional: PBE-GGA
Structure: relaxed

a = 11.6172 Å, b = 11.6172 Å, c = 13.8804 Å
α = 106.37°, β = 106.37°, γ = 67.65°
With the nearest neighbours (Å) after each atom.
Fractional coordinates of all 48 atoms:
Ba1 0.0938 0.1045 0.1725  8 Se 3.35-3.51
Ba2 0.1045 0.0938 0.6725  8 Se 3.35-3.51
Ba3 0.1202 0.6149 0.5556  9 Se 3.38-3.58
Ba4 0.3851 0.8798 0.9444  9 Se 3.38-3.58
Ba5 0.3927 0.3982 0.8251  8 Se 3.33-3.54
Ba6 0.3982 0.3927 0.3251  8 Se 3.33-3.54
Ba7 0.6018 0.6073 0.6749  8 Se 3.33-3.54
Ba8 0.6073 0.6018 0.1749  8 Se 3.33-3.54
Ba9 0.6149 0.1202 0.0556  9 Se 3.38-3.58
Ba10 0.8798 0.3851 0.4444  9 Se 3.38-3.58
Ba11 0.8955 0.9062 0.3275  8 Se 3.35-3.51
Ba12 0.9062 0.8955 0.8275  8 Se 3.35-3.51
Sb1 0.1907 0.6410 0.0952  3 Se 2.57-2.74
Sb2 0.2051 0.2595 0.9907  3 Se 2.60-2.68
Sb3 0.2595 0.2051 0.4907  3 Se 2.60-2.68
Sb4 0.3590 0.8093 0.4048  3 Se 2.57-2.74
Sb5 0.6410 0.1907 0.5952  3 Se 2.57-2.74
Sb6 0.7405 0.7949 0.5093  3 Se 2.60-2.68
Sb7 0.7949 0.7405 0.0093  3 Se 2.60-2.68
Sb8 0.8093 0.3590 0.9048  3 Se 2.57-2.74
Se1 0.0749 0.0955 0.9143  1 Sb 2.68
Se2 0.0955 0.0749 0.4143  1 Sb 2.68
Se3 0.1016 0.5992 0.8878  1 Se 2.42
Se4 0.1425 0.3504 0.6380  1 Sb 2.60
Se5 0.1425 0.3545 0.3597  1 Sb 2.60
Se6 0.1960 0.6953 0.3686  1 Sb 2.57
Se7 0.2020 0.6956 0.8171  1 Se 2.42
Se8 0.3044 0.7980 0.6829  1 Se 2.42
Se9 0.3047 0.8040 0.1314  1 Sb 2.57
Se10 0.3504 0.1425 0.1380  1 Sb 2.60
Se11 0.3545 0.1425 0.8597  1 Sb 2.60
Se12 0.3996 0.4394 0.0888  1 Sb 2.66
Se13 0.4008 0.8984 0.6122  1 Se 2.42
Se14 0.4394 0.3996 0.5888  1 Sb 2.66
Se15 0.5606 0.6004 0.4112  1 Sb 2.66
Se16 0.5992 0.1016 0.3878  1 Se 2.42
Se17 0.6004 0.5606 0.9112  1 Sb 2.66
Se18 0.6455 0.8575 0.1403  1 Sb 2.60
Se19 0.6496 0.8575 0.8620  1 Sb 2.60
Se20 0.6953 0.1960 0.8686  1 Sb 2.57
Se21 0.6956 0.2020 0.3171  1 Se 2.42
Se22 0.7980 0.3044 0.1829  1 Se 2.42
Se23 0.8040 0.3047 0.6314  1 Sb 2.57
Se24 0.8575 0.6455 0.6403  1 Sb 2.60
Se25 0.8575 0.6496 0.3620  1 Sb 2.60
Se26 0.8984 0.4008 0.1122  1 Se 2.42
Se27 0.9045 0.9251 0.5857  1 Sb 2.68
Se28 0.9251 0.9045 0.0857  1 Sb 2.68

Mass density   4.92 Mg/m³
Calculated formation energy   -1.445 eV/atom
Symmetry   C2/c

(4)
Compound: BaMg14B
Source: the Materials Project database
Functional: PBE-GGA
Structure: relaxed

a = 10.3331 Å, b = 6.6783 Å, c = 6.6783 Å
α = 56.09°, β = 90.00°, γ = 90.00°
With the nearest neighbours (Å) after each atom.
Fractional coordinates of all 16 atoms:
Ba1 0.0000 0.0000 0.0000  2 B 3.28, 10 Mg 3.30-3.39
Mg1 0.0000 0.0193 0.4943  1 B 2.42
Mg2 0.0000 0.4943 0.0193  1 B 2.42
Mg3 0.2137 0.6253 0.6253  9 Mg 3.16-3.51, 1 B 3.29
Mg4 0.2566 0.1459 0.6275  8 Mg 3.02-3.26, 1 B 3.08, 1 Ba 3.39
Mg5 0.2566 0.6275 0.1459  8 Mg 3.02-3.26, 1 B 3.08, 1 Ba 3.39
Mg6 0.2717 0.1472 0.1472  7 Mg 3.01-3.21, 1 Ba 3.30
Mg7 0.5000 0.4797 0.4797  12 Mg 3.13-3.42
Mg8 0.5000 0.4846 0.9723  9 Mg 3.01-3.37
Mg9 0.5000 0.9723 0.4846  9 Mg 3.01-3.37
Mg10 0.5000 0.9739 0.9739  12 Mg 3.12-3.40
Mg11 0.7283 0.1472 0.1472  7 Mg 3.01-3.21, 1 Ba 3.30
Mg12 0.7434 0.1459 0.6275  8 Mg 3.02-3.26, 1 B 3.08, 1 Ba 3.39
Mg13 0.7434 0.6275 0.1459  8 Mg 3.02-3.26, 1 B 3.08, 1 Ba 3.39
Mg14 0.7863 0.6253 0.6253  9 Mg 3.16-3.51, 1 B 3.29
B1 0.0000 0.4184 0.4184  2 Mg 2.42

Mass density   2.12 Mg/m³
ΔE to the lowest computed polymorph   0 meV per atom
Calculated formation energy   0.197 eV/atom
Symmetry   Amm2

(5)
Compound: Sr2LiOsO6
Source: the Materials Project database
Functional: PBE-GGA
Structure: relaxed

a = 5.6084 Å, b = 5.6084 Å, c = 5.6084 Å
α = 60.00°, β = 60.00°, γ = 60.00°
With the nearest neighbours (Å) after each atom.
Fractional coordinates of all 10 atoms:
Sr1 0.2500 0.2500 0.2500  12 O 2.81
Sr2 0.7500 0.7500 0.7500  12 O 2.81
Li1 0.0000 0.0000 0.0000  6 O 2.06
Os1 0.5000 0.5000 0.5000  6 O 1.90
O1 0.2601 0.2601 0.7399  1 Os 1.90, 1 Li 2.06
O2 0.2601 0.7399 0.2601  1 Os 1.90, 1 Li 2.06
O3 0.2601 0.7399 0.7399  1 Os 1.90, 1 Li 2.06
O4 0.7399 0.2601 0.2601  1 Os 1.90, 1 Li 2.06
O5 0.7399 0.2601 0.7399  1 Os 1.90, 1 Li 2.06
O6 0.7399 0.7399 0.2601  1 Os 1.90, 1 Li 2.06

Mass density   6.24 Mg/m³
Calculated formation energy   -2.443 eV/atom
Symmetry   Fm-3m

(6)
Compound: PmDyRu2
Source: the Materials Project database
Functional: PBE-GGA
Structure: relaxed

a = 4.8758 Å, b = 4.8758 Å, c = 4.8758 Å
α = 60.00°, β = 60.00°, γ = 60.00°
With the nearest neighbours (Å) after each atom.
Fractional coordinates of all 4 atoms:
Pm1 0.0000 0.0000 0.0000  8 Ru 2.99
Dy1 0.5000 0.5000 0.5000  8 Ru 2.99
Ru1 0.2500 0.2500 0.2500  4 Dy 2.99, 4 Pm 2.99
Ru2 0.7500 0.7500 0.7500  4 Dy 2.99, 4 Pm 2.99

Mass density   10.33 Mg/m³
Calculated formation energy   -0.219 eV/atom
Symmetry   Fm-3m

(7)
Compound: PaAgAu2
Source: the Materials Project database
Functional: PBE-GGA
Structure: relaxed

a = 4.9210 Å, b = 4.9210 Å, c = 4.9210 Å
α = 60.00°, β = 60.00°, γ = 60.00°
With the nearest neighbours (Å) after each atom.
Fractional coordinates of all 4 atoms:
Pa1 0.0000 0.0000 0.0000  8 Au 3.01
Ag1 0.5000 0.5000 0.5000  8 Au 3.01
Au1 0.2500 0.2500 0.2500  4 Ag 3.01, 4 Pa 3.01
Au2 0.7500 0.7500 0.7500  4 Ag 3.01, 4 Pa 3.01

Mass density   14.44 Mg/m³
Calculated formation energy   -0.289 eV/atom
Symmetry   Fm-3m

(8)
Compound: Er2MgNi2
Source: the Materials Project database
Functional: PBE-GGA
Structure: relaxed

a = 7.2614 Å, b = 7.2614 Å, c = 3.7435 Å
α = 90.00°, β = 90.00°, γ = 90.00°
With the nearest neighbours (Å) after each atom.
Fractional coordinates of all 10 atoms:
Er1 0.1738 0.3262 0.0000  6 Ni 2.83-2.86
Er2 0.3262 0.8262 0.0000  6 Ni 2.83-2.86
Er3 0.6738 0.1738 0.0000  6 Ni 2.83-2.86
Er4 0.8262 0.6738 0.0000  6 Ni 2.83-2.86
Mg1 0.0000 0.0000 0.5000  4 Ni 2.89
Mg2 0.5000 0.5000 0.5000  4 Ni 2.89
Ni1 0.1197 0.6197 0.5000  1 Ni 2.46
Ni2 0.3803 0.1197 0.5000  1 Ni 2.46
Ni3 0.6197 0.8803 0.5000  1 Ni 2.46
Ni4 0.8803 0.3803 0.5000  1 Ni 2.46

Mass density   8.01 Mg/m³
Calculated formation energy   -0.399 eV/atom
Symmetry   P4/mbm

Taking the records one at a time from the top gives uncorrected energy values of -7.44 -3.59 -4.38 -1.74 -6.65 -7.20 -5.01 -4.86 eV per atom.